1.
Compound: Mn2V3SnP6O24
Source: the Materials Project database
Functional: PBE with a Hubbard U
Structure: optimized geometry

Unit cell a=8.7149 b=8.7149 c=8.7149 alpha=59.74 beta=59.74 gamma=59.74
With the nearest neighbours (Å) after each atom.
Atoms (fractional coordinates):
1 Mn 0.0000 0.0000 0.0000  6 O 2.22-2.31
2 Mn 0.4960 0.4960 0.4960  6 O 2.29
3 V 0.1412 0.1412 0.1412  6 O 1.96-2.07
4 V 0.3520 0.3520 0.3520  6 O 1.94-2.04
5 V 0.6400 0.6400 0.6400  6 O 1.96-2.05
6 Sn 0.8518 0.8518 0.8518  6 O 2.01-2.10
7 P 0.0408 0.4500 0.7447  4 O 1.52-1.56
8 P 0.2495 0.9551 0.5362  4 O 1.53-1.58
9 P 0.4500 0.7447 0.0408  4 O 1.52-1.56
10 P 0.5362 0.2495 0.9551  4 O 1.53-1.58
11 P 0.7447 0.0408 0.4500  4 O 1.52-1.56
12 P 0.9551 0.5362 0.2495  4 O 1.53-1.58
13 O 0.0133 0.6062 0.8017  1 P 1.55
14 O 0.0579 0.2590 0.9102  1 P 1.56
15 O 0.0844 0.9403 0.7326  1 P 1.58
16 O 0.1131 0.4999 0.3066  1 P 1.53
17 O 0.1890 0.9912 0.3811  1 P 1.53
18 O 0.2336 0.4329 0.5808  1 P 1.56
19 O 0.2590 0.9102 0.0579  1 P 1.56
20 O 0.3066 0.1131 0.4999  1 P 1.53
21 O 0.3811 0.1890 0.9912  1 P 1.53
22 O 0.4108 0.7603 0.5571  1 P 1.56
23 O 0.4329 0.5808 0.2336  1 P 1.56
24 O 0.4923 0.6902 0.8792  1 P 1.52
25 O 0.4999 0.3066 0.1131  1 P 1.53
26 O 0.5571 0.4108 0.7603  1 P 1.56
27 O 0.5808 0.2336 0.4329  1 P 1.56
28 O 0.6062 0.8017 0.0133  1 P 1.55
29 O 0.6902 0.8792 0.4923  1 P 1.52
30 O 0.7326 0.0844 0.9403  1 P 1.58
31 O 0.7603 0.5571 0.4108  1 P 1.56
32 O 0.8017 0.0133 0.6062  1 P 1.55
33 O 0.8792 0.4923 0.6902  1 P 1.52
34 O 0.9102 0.0579 0.2590  1 P 1.56
35 O 0.9403 0.7326 0.0844  1 P 1.58
36 O 0.9912 0.3811 0.1890  1 P 1.53

Energy of formation from the pure elements (eV per atom): -2.58
Space group: R3, No. 146

2.
Compound: CaLaMn2O6
Source: the Materials Project database
Functional: PBE with a Hubbard U
Structure: optimized geometry

Unit cell a=7.6486 b=5.5466 c=11.0222 alpha=90.00 beta=90.00 gamma=90.00
With the nearest neighbours (Å) after each atom.
Atoms (fractional coordinates):
1 Ca 0.0000 0.0031 0.0000  5 O 2.38-2.45
2 Ca 0.0000 0.4958 0.7703  5 O 2.37-2.46
3 Ca 0.5000 0.5042 0.2703  5 O 2.37-2.46
4 Ca 0.5000 0.9969 0.5000  5 O 2.38-2.45
5 La 0.0000 0.0152 0.5161  7 O 2.41-2.68
6 La 0.0000 0.4926 0.2558  6 O 2.42-2.64
7 La 0.5000 0.5074 0.7558  6 O 2.42-2.64
8 La 0.5000 0.9848 0.0161  7 O 2.41-2.68
9 Mn 0.2483 0.0058 0.7615  6 O 1.94-2.05
10 Mn 0.2484 0.4893 0.0121  6 O 1.94-2.00
11 Mn 0.2516 0.5107 0.5121  6 O 1.94-2.00
12 Mn 0.2517 0.9942 0.2615  6 O 1.94-2.05
13 Mn 0.7484 0.5107 0.5121  6 O 1.94-2.00
14 Mn 0.7483 0.9942 0.2615  6 O 1.94-2.05
15 Mn 0.7517 0.0058 0.7615  6 O 1.94-2.05
16 Mn 0.7516 0.4893 0.0121  6 O 1.94-2.00
17 O 0.0000 0.5755 0.0200  2 Mn 1.96
18 O 0.0000 0.5820 0.5043  2 Mn 1.97
19 O 0.0000 0.9223 0.7520  2 Mn 1.96
20 O 0.0000 0.9270 0.2773  2 Mn 1.97
21 O 0.2044 0.2222 0.1302  2 Mn 1.95-2.00
22 O 0.2051 0.2459 0.8864  2 Mn 1.94-1.96
23 O 0.2106 0.2805 0.6417  2 Mn 1.94-2.04
24 O 0.2139 0.2594 0.3885  2 Mn 1.97-2.05
25 O 0.2861 0.7406 0.8885  2 Mn 1.97-2.05
26 O 0.2894 0.7195 0.1417  2 Mn 1.94-2.04
27 O 0.2949 0.7541 0.3864  2 Mn 1.94-1.96
28 O 0.2956 0.7778 0.6302  2 Mn 1.95-2.00
29 O 0.5000 0.0730 0.7773  2 Mn 1.97
30 O 0.5000 0.0777 0.2520  2 Mn 1.96
31 O 0.5000 0.4180 0.0043  2 Mn 1.97
32 O 0.5000 0.4245 0.5200  2 Mn 1.96
33 O 0.7044 0.7778 0.6302  2 Mn 1.95-2.00
34 O 0.7051 0.7541 0.3864  2 Mn 1.94-1.96
35 O 0.7106 0.7195 0.1417  2 Mn 1.94-2.04
36 O 0.7139 0.7406 0.8885  2 Mn 1.97-2.05
37 O 0.7861 0.2594 0.3885  2 Mn 1.97-2.05
38 O 0.7894 0.2805 0.6417  2 Mn 1.94-2.04
39 O 0.7949 0.2459 0.8864  2 Mn 1.94-1.96
40 O 0.7956 0.2222 0.1302  2 Mn 1.95-2.00

Energy of formation from the pure elements (eV per atom): -2.77
Energy relative to the lowest polymorph listed for this composition (eV per formula unit): 0.05
Space group: Pmn2_1, No. 31

3.
Compound: Li3Co2Si2O8
Source: the Materials Project database
Functional: PBE with a Hubbard U
Structure: optimized geometry

Unit cell a=5.2301 b=5.2301 c=6.4669 alpha=90.68 beta=90.68 gamma=91.59
With the nearest neighbours (Å) after each atom.
Atoms (fractional coordinates):
1 Li 0.0000 0.0000 0.0000  3 O 1.92-2.13
2 Li 0.5089 0.8557 0.7596  4 O 1.92-2.09
3 Li 0.8557 0.5089 0.7596  4 O 1.92-2.09
4 Co 0.4941 0.8802 0.2709  4 O 1.84-2.00
5 Co 0.8802 0.4941 0.2709  4 O 1.84-2.00
6 Si 0.0095 0.0095 0.5226  4 O 1.61-1.72
7 Si 0.3715 0.3715 0.0085  4 O 1.58-1.69
8 O 0.0547 0.4052 0.0257  1 Si 1.68
9 O 0.3160 0.9506 0.5080  1 Si 1.64
10 O 0.4052 0.0547 0.0257  1 Si 1.68
11 O 0.4944 0.4944 0.8095  1 Si 1.58
12 O 0.5096 0.5096 0.2204  1 Si 1.69
13 O 0.8753 0.8753 0.3022  1 Si 1.72
14 O 0.8878 0.8878 0.7286  1 Si 1.61
15 O 0.9506 0.3160 0.5080  1 Si 1.64

Energy of formation from the pure elements (eV per atom): -2.37
Energy relative to the lowest polymorph listed for this composition (eV per formula unit): 0.57
Space group: Cm, No. 8

4.
Compound: Co2As2O9
Source: the Materials Project database
Functional: PBE with a Hubbard U
Structure: optimized geometry

Unit cell a=6.4469 b=14.5169 c=9.5376 alpha=90.00 beta=128.74 gamma=90.00
With the nearest neighbours (Å) after each atom.
Atoms (fractional coordinates):
1 Co 0.1744 0.2458 0.1329  1 O 1.61
2 Co 0.1744 0.2542 0.6329  1 O 1.61
3 Co 0.3203 0.6065 0.0861  1 O 1.72
4 Co 0.3203 0.8935 0.5861  1 O 1.72
5 Co 0.6797 0.1065 0.4139  1 O 1.72
6 Co 0.6797 0.3935 0.9139  1 O 1.72
7 Co 0.8256 0.7458 0.3671  1 O 1.61
8 Co 0.8256 0.7542 0.8671  1 O 1.61
9 As 0.0992 0.0778 0.3395  4 O 1.69-1.78
10 As 0.0992 0.4222 0.8395  4 O 1.69-1.78
11 As 0.3957 0.6921 0.4522  4 O 1.69-1.80
12 As 0.3957 0.8079 0.9522  4 O 1.69-1.80
13 As 0.6043 0.1921 0.0478  4 O 1.69-1.80
14 As 0.6043 0.3079 0.5478  4 O 1.69-1.80
15 As 0.9008 0.5778 0.1605  4 O 1.69-1.78
16 As 0.9008 0.9222 0.6605  4 O 1.69-1.78
17 O 0.0214 0.1756 0.9651  1 Co 1.61
18 O 0.0214 0.3244 0.4651  1 Co 1.61
19 O 0.0373 0.1266 0.4751  1 As 1.73
20 O 0.0373 0.3734 0.9751  1 As 1.73
21 O 0.1724 0.7243 0.9115  1 As 1.73
22 O 0.1724 0.7757 0.4115  1 As 1.73
23 O 0.1838 0.5347 0.8704  1 As 1.69
24 O 0.1838 0.9653 0.3704  1 As 1.69
25 O 0.2096 0.5864 0.3805  2 As 1.78-1.80
26 O 0.2096 0.9136 0.8805  2 As 1.78-1.80
27 O 0.3228 0.1478 0.3472  1 As 1.73
28 O 0.3228 0.3522 0.8472  1 As 1.73
29 O 0.3502 0.1683 0.8300  1 As 1.69
30 O 0.3502 0.3317 0.3300  1 As 1.69
31 O 0.4491 0.5176 0.2378  1 Co 1.72
32 O 0.4491 0.9824 0.7378  1 Co 1.72
33 O 0.4689 0.7110 0.3076  1 As 1.74
34 O 0.4689 0.7890 0.8076  1 As 1.74
35 O 0.5311 0.2110 0.1924  1 As 1.74
36 O 0.5311 0.2890 0.6924  1 As 1.74
37 O 0.5509 0.0176 0.2622  1 Co 1.72
38 O 0.5509 0.4824 0.7622  1 Co 1.72
39 O 0.6498 0.6683 0.6700  1 As 1.69
40 O 0.6498 0.8317 0.1700  1 As 1.69
41 O 0.6772 0.6478 0.1529  1 As 1.73
42 O 0.6772 0.8522 0.6528  1 As 1.73
43 O 0.7904 0.0864 0.1195  2 As 1.78-1.80
44 O 0.7904 0.4136 0.6195  2 As 1.78-1.80
45 O 0.8162 0.0347 0.6296  1 As 1.69
46 O 0.8162 0.4653 0.1296  1 As 1.69
47 O 0.8276 0.2243 0.5885  1 As 1.73
48 O 0.8276 0.2757 0.0885  1 As 1.73
49 O 0.9627 0.6266 0.0249  1 As 1.73
50 O 0.9627 0.8734 0.5249  1 As 1.73
51 O 0.9786 0.6756 0.5349  1 Co 1.61
52 O 0.9786 0.8244 0.0349  1 Co 1.61

Energy of formation from the pure elements (eV per atom): -1.22
Space group: P2_1/c, No. 14

5.
Compound: Ca3Ni2O7
Source: the Materials Project database
Functional: PBE with a Hubbard U
Structure: optimized geometry

Unit cell a=9.9914 b=9.9914 c=5.3714 alpha=90.00 beta=90.00 gamma=31.02
With the nearest neighbours (Å) after each atom.
Atoms (fractional coordinates):
1 Ca 0.0579 0.5726 0.4108  6 O 2.28-2.48
2 Ca 0.2375 0.7625 0.5000  6 O 2.34-2.55
3 Ca 0.4274 0.9421 0.4108  6 O 2.28-2.48
4 Ca 0.5726 0.0579 0.9108  6 O 2.28-2.48
5 Ca 0.7625 0.2375 0.0000  6 O 2.34-2.55
6 Ca 0.9421 0.4274 0.9108  6 O 2.28-2.48
7 Ni 0.1516 0.6530 0.9526  6 O 1.92-1.95
8 Ni 0.3470 0.8484 0.9526  6 O 1.92-1.95
9 Ni 0.6530 0.1516 0.4526  6 O 1.92-1.95
10 Ni 0.8484 0.3470 0.4526  6 O 1.92-1.95
11 O 0.0059 0.6009 0.9545  1 Ni 1.92
12 O 0.0406 0.1255 0.7429  2 Ni 1.93-1.94
13 O 0.1255 0.0406 0.2429  2 Ni 1.93-1.94
14 O 0.3276 0.6724 0.9421  2 Ni 1.93
15 O 0.3495 0.4256 0.6681  2 Ni 1.93-1.95
16 O 0.3991 0.9941 0.9545  1 Ni 1.92
17 O 0.4256 0.3495 0.1681  2 Ni 1.93-1.95
18 O 0.5744 0.6505 0.6681  2 Ni 1.93-1.95
19 O 0.6009 0.0059 0.4545  1 Ni 1.92
20 O 0.6505 0.5744 0.1681  2 Ni 1.93-1.95
21 O 0.6724 0.3276 0.4421  2 Ni 1.93
22 O 0.8745 0.9594 0.7429  2 Ni 1.93-1.94
23 O 0.9594 0.8745 0.2429  2 Ni 1.93-1.94
24 O 0.9941 0.3991 0.4545  1 Ni 1.92

Energy of formation from the pure elements (eV per atom): -2.03
Space group: Cmc2_1, No. 36

6.
Compound: Na2Si4NiO10
Source: the Materials Project database
Functional: PBE with a Hubbard U
Structure: optimized geometry

Unit cell a=7.0266 b=7.7182 c=9.8678 alpha=101.40 beta=102.74 gamma=115.30
With the nearest neighbours (Å) after each atom.
Atoms (fractional coordinates):
1 Na 0.1577 0.2560 0.4768  5 O 2.41-2.62
2 Na 0.2415 0.7740 0.9194  5 O 2.33-2.56
3 Na 0.7585 0.2260 0.0806  5 O 2.33-2.56
4 Na 0.8423 0.7440 0.5232  5 O 2.41-2.62
5 Si 0.1033 0.8593 0.2401  4 O 1.61-1.65
6 Si 0.2609 0.5613 0.3048  4 O 1.59-1.66
7 Si 0.3137 0.1203 0.7504  4 O 1.59-1.67
8 Si 0.4162 0.7906 0.6412  4 O 1.59-1.66
9 Si 0.5838 0.2094 0.3588  4 O 1.59-1.66
10 Si 0.6863 0.8797 0.2496  4 O 1.59-1.67
11 Si 0.7391 0.4387 0.6952  4 O 1.59-1.66
12 Si 0.8967 0.1407 0.7599  4 O 1.61-1.65
13 Ni 0.2445 0.1853 0.0772  5 O 2.02-2.14
14 Ni 0.7555 0.8147 0.9228  5 O 2.02-2.14
15 O 0.0650 0.8895 0.0810  1 Si 1.61
16 O 0.0800 0.1284 0.6837  2 Si 1.65-1.66
17 O 0.0887 0.6384 0.2312  2 Si 1.65-1.66
18 O 0.1542 0.3225 0.2296  1 Si 1.59
19 O 0.2539 0.8968 0.6403  2 Si 1.66-1.67
20 O 0.2944 0.6024 0.4826  2 Si 1.65-1.66
21 O 0.3435 0.0409 0.3649  2 Si 1.65-1.66
22 O 0.3828 0.1397 0.9198  1 Si 1.59
23 O 0.4483 0.7155 0.7788  1 Si 1.59
24 O 0.4923 0.2983 0.7043  2 Si 1.64
25 O 0.5077 0.7017 0.2957  2 Si 1.64
26 O 0.5517 0.2845 0.2212  1 Si 1.59
27 O 0.6172 0.8603 0.0802  1 Si 1.59
28 O 0.6565 0.9591 0.6351  2 Si 1.65-1.66
29 O 0.7056 0.3976 0.5174  2 Si 1.65-1.66
30 O 0.7461 0.1032 0.3597  2 Si 1.66-1.67
31 O 0.8458 0.6775 0.7704  1 Si 1.59
32 O 0.9113 0.3616 0.7688  2 Si 1.65-1.66
33 O 0.9200 0.8716 0.3163  2 Si 1.65-1.66
34 O 0.9350 0.1105 0.9190  1 Si 1.61

Energy of formation from the pure elements (eV per atom): -2.83
Space group: P-1, No. 2

Question: Among the records above, which one has the highest energy of formation from the pure elements?
Answer: Co2As2O9

Question: energy of formation from the pure elements of number 5 (Ca3Ni2O7)?
Answer: -2.03 eV per atom

Question: Which of these has the highest energy of formation from the pure elements?
Answer: Co2As2O9